## NaMgSn3P3S3O24 (GGA-PBE)

Data for an optimized crystal structure of NaMgSn3P3S3O24.

The structure in CIF format:
```
data_NaMgSn3P3S3O24
_cell_length_a 8.740
_cell_length_b 8.735
_cell_length_c 22.759
_cell_angle_alpha 90.30
_cell_angle_beta 90.03
_cell_angle_gamma 120.19
_symmetry_space_group_name_H-M 'P 1'
_symmetry_Int_Tables_number 1
_symmetry_space_group_name_Hall 'P 1'
loop_
_atom_site_label
_atom_site_type_symbol
_atom_site_fract_x
_atom_site_fract_y
_atom_site_fract_z
O1 O 0.170 0.973 0.909
O2 O 0.356 0.865 0.577
P1 P 0.665 0.623 0.585
O3 O 0.199 0.024 0.590
Sn1 Sn 0.333 0.660 0.814
O4 O 0.473 0.307 0.744
O5 O 0.512 0.629 0.861
P2 P 0.664 0.044 0.085
O6 O 0.372 0.879 0.860
O7 O 0.206 0.172 0.805
O8 O 0.636 0.509 0.638
S1 S 0.959 0.335 0.585
P3 P 0.957 0.620 0.085
S2 S 0.292 0.002 0.250
P4 P 0.625 0.666 0.917
O9 O 0.546 0.700 0.972
O10 O 0.449 0.301 0.030
O11 O 0.841 0.305 0.244
O12 O 0.851 0.297 0.530
Sn2 Sn 0.006 0.005 0.857
Sn3 Sn 0.675 0.340 0.482
O13 O 0.300 0.448 0.470
Na1 Na 0.662 0.333 0.832
S3 S 0.378 0.044 0.585
O14 O 0.807 0.831 0.908
O15 O 0.978 0.175 0.590
Sn4 Sn 0.994 0.993 0.356
O16 O 0.178 0.969 0.197
Na2 Na 0.332 0.671 0.167
P5 P 0.622 0.959 0.415
O17 O 0.199 0.176 0.091
O18 O 0.304 0.472 0.757
O19 O 0.844 0.531 0.743
O20 O 0.531 0.691 0.257
O21 O 0.810 0.983 0.410
O22 O 0.786 0.820 0.197
O23 O 0.641 0.498 0.923
O24 O 0.831 0.025 0.091
O25 O 0.783 0.964 0.697
O26 O 0.211 0.035 0.304
Mg1 Mg 0.658 0.339 0.686
O27 O 0.702 0.549 0.527
O28 O 0.846 0.549 0.028
O29 O 0.698 0.151 0.028
O30 O 0.641 0.146 0.424
O31 O 0.172 0.208 0.694
O32 O 0.511 0.878 0.361
O33 O 0.501 0.145 0.923
O34 O 0.162 0.696 0.757
O35 O 0.969 0.178 0.304
O36 O 0.118 0.492 0.861
O37 O 0.982 0.809 0.090
O38 O 0.162 0.466 0.257
O39 O 0.819 0.032 0.803
S4 S 0.999 0.707 0.750
S5 S 0.708 0.002 0.750
O40 O 0.690 0.531 0.243
O41 O 0.305 0.841 0.256
P6 P 0.293 0.290 0.750
Mg2 Mg 0.672 0.332 0.183
O42 O 0.819 0.785 0.303
O43 O 0.499 0.642 0.575
O44 O 0.026 0.831 0.410
O45 O 0.485 0.365 0.137
O46 O 0.550 0.849 0.472
O47 O 0.493 0.356 0.423
P7 P 0.046 0.665 0.415
O48 O 0.358 0.494 0.078
O49 O 0.488 0.123 0.636
Na3 Na 0.671 0.332 0.332
O50 O 0.136 0.494 0.576
Sn5 Sn 0.999 0.000 0.646
P8 P 0.336 0.958 0.916
Mg3 Mg 0.331 0.673 0.316
O51 O 0.299 0.846 0.971
Sn6 Sn 0.673 0.334 0.982
O52 O 0.466 0.162 0.244
O53 O 0.365 0.485 0.363
O54 O 0.858 0.358 0.922
O55 O 0.856 0.500 0.422
O56 O 0.023 0.195 0.910
O57 O 0.175 0.198 0.409
O58 O 0.965 0.786 0.803
Sn7 Sn 0.994 0.995 0.143
O59 O 0.035 0.819 0.697
O60 O 0.876 0.511 0.139
O61 O 0.450 0.150 0.529
O62 O 0.693 0.160 0.742
S6 S 0.704 0.704 0.250
O63 O 0.532 0.840 0.757
Sn8 Sn 0.341 0.673 0.518
Sn9 Sn 0.334 0.673 0.018
O64 O 0.832 0.812 0.591
O65 O 0.034 0.210 0.197
O66 O 0.145 0.641 0.078
S7 S 0.378 0.335 0.085
P9 P 0.043 0.378 0.917
O67 O 0.877 0.363 0.636
O68 O 0.154 0.698 0.474
O69 O 0.630 0.122 0.139
S8 S 0.001 0.292 0.250
S9 S 0.334 0.377 0.415
O70 O 0.157 0.455 0.972
O71 O 0.123 0.630 0.361
O72 O 0.500 0.853 0.078
```

Properties
ΔH_f (0 K): -2.28 eV per atom